# RbSr2MgNb3O10 PBE relaxed
# ΔE_f ... -50.175 eV/f.u.
# Energy with MP2020 corrections ... -0.294 Ha/atom
data_RbSr2MgNb3O10
_cell_length_a 4.030
_cell_length_b 4.049
_cell_length_c 17.033
_cell_angle_alpha 90.00
_cell_angle_beta 90.00
_cell_angle_gamma 90.00
_space_group_name_H-M_alt 'P 1'
_space_group_IT_number 1
loop_
_space_group_symop_operation_xyz
'x,y,z'
loop_
_atom_site_label
_atom_site_type_symbol
_atom_site_fract_x
_atom_site_fract_y
_atom_site_fract_z
_atom_site_occupancy
Rb1 Rb 0.000 0.000 0.000 1
Sr1 Sr 0.000 0.000 0.270 1
Sr2 Sr 0.000 0.000 0.525 1
Mg1 Mg 0.500 0.000 0.778 1
Nb1 Nb 0.500 0.500 0.150 1
Nb2 Nb 0.500 0.500 0.401 1
Nb3 Nb 0.500 0.500 0.646 1
O1 O 0.000 0.500 0.170 1
O2 O 0.000 0.500 0.406 1
O3 O 0.000 0.500 0.628 1
O4 O 0.500 0.000 0.168 1
O5 O 0.500 0.000 0.404 1
O6 O 0.500 0.000 0.651 1
O7 O 0.500 0.500 0.042 1
O8 O 0.500 0.500 0.286 1
O9 O 0.500 0.500 0.522 1
O10 O 0.500 0.500 0.763 1